[1]
Crystalline CaNiO2 at its relaxed geometry. Source: the Materials Project database, functional GGA+U.

Summary:
formation enthalpy at 0 K = -8.3 eV/f.u.
space-group type = No. 2
energy = -5.5171 eV per atom
total moment = 0.500 μB per atom

Cell: 3.1179 8.1041 8.3550 Å, 82.61 89.23 88.31°
Atoms (fractional coordinates):
Ca: 0.7597 0.2118 0.9498
Ca: 0.2403 0.7882 0.0502
Ca: 0.7710 0.9290 0.6784
Ca: 0.2290 0.0710 0.3216
Ni: 0.7817 0.7381 0.3860
Ni: 0.2183 0.2619 0.6140
Ni: 0.3361 0.5674 0.7799
Ni: 0.6639 0.4326 0.2201
O: 0.7359 0.9264 0.1879
O: 0.2803 0.8187 0.5103
O: 0.2371 0.2994 0.1296
O: 0.7197 0.1813 0.4897
O: 0.2641 0.0736 0.8121
O: 0.8943 0.4199 0.7340
O: 0.7629 0.7006 0.8704
O: 0.1057 0.5801 0.2660


[2]
Crystalline CaNi2O4 at its relaxed geometry. Source: the Materials Project database, functional GGA+U.

Summary:
formation enthalpy at 0 K = -11.2 eV/f.u.
offset from the most stable computed form = 0.0568 eV/atom
space-group type = No. 88
energy = -5.2521 eV per atom
total moment = 0.286 μB per atom

Cell: 6.0857 6.0857 6.0857 Å, 118.20 118.20 93.15°
Atoms (fractional coordinates):
O: 0.5659 0.8130 0.1756
O: 0.1126 0.8597 0.6756
O: 0.6097 0.4341 0.2471
O: 0.1403 0.8159 0.2529
O: 0.1841 0.4370 0.3244
O: 0.5630 0.8874 0.7471
O: 0.6374 0.3903 0.8244
O: 0.1870 0.3626 0.7529
Ni: 0.3750 0.6250 0.7500
Ni: 0.3750 0.6250 0.2500
Ni: 0.8750 0.6250 0.2500
Ni: 0.3750 0.1250 0.7500
Ca: 0.7500 0.2500 0.5000
Ca: 0.0000 0.0000 0.0000


[3]
Crystalline Ca2Ni3O8 at its relaxed geometry. Source: the Materials Project database, functional GGA+U.

Summary:
formation enthalpy at 0 K = -18.9 eV/f.u.
offset from the most stable computed form = 0.1226 eV/atom
space-group type = No. 186
energy = -5.1315 eV per atom
total moment = 0.000 μB per atom

Cell: 5.8291 5.8291 10.3993 Å, 90.00 90.00 120.00°
Atoms (fractional coordinates):
Ca: 0.3333 0.6667 0.5276
Ca: 0.6667 0.3333 0.0276
Ca: 0.3333 0.6667 0.9339
Ca: 0.6667 0.3333 0.4339
Ni: 0.6702 0.8351 0.2465
Ni: 0.8351 0.1649 0.7465
Ni: 0.1649 0.8351 0.2465
Ni: 0.3298 0.1649 0.7465
Ni: 0.1649 0.3298 0.2465
Ni: 0.8351 0.6702 0.7465
O: 0.4782 0.5218 0.3449
O: 0.0436 0.5218 0.3449
O: 0.5218 0.4782 0.8449
O: 0.6667 0.3333 0.6542
O: 0.9564 0.4782 0.8449
O: 0.1519 0.3037 0.6551
O: 0.0000 0.0000 0.3383
O: 0.5218 0.0436 0.8449
O: 0.3333 0.6667 0.1542
O: 0.4782 0.9564 0.3449
O: 0.0000 0.0000 0.8383
O: 0.3037 0.1519 0.1551
O: 0.6963 0.8481 0.6551
O: 0.1519 0.8481 0.6551
O: 0.8481 0.1519 0.1551
O: 0.8481 0.6963 0.1551


[4]
Crystalline CaNi2O4 at its relaxed geometry. Source: the Materials Project database, functional GGA+U.

Summary:
formation enthalpy at 0 K = -11.6 eV/f.u.
offset from the most stable computed form = 0.0079 eV/atom
space-group type = No. 62
energy = -5.3010 eV per atom

Cell: 3.0283 8.9911 10.5657 Å, 90.00 90.00 90.00°
Atoms (fractional coordinates):
Ni: 0.7500 0.9387 0.8878
Ni: 0.7500 0.9164 0.4000
Ni: 0.2500 0.0836 0.6000
Ni: 0.7500 0.4387 0.6122
Ni: 0.2500 0.5613 0.3878
Ni: 0.7500 0.4164 0.1000
Ni: 0.2500 0.0613 0.1122
Ni: 0.2500 0.5836 0.9000
Ca: 0.7500 0.2574 0.8400
Ca: 0.2500 0.7426 0.1600
Ca: 0.7500 0.7574 0.6600
Ca: 0.2500 0.2426 0.3400
O: 0.7500 0.0266 0.7132
O: 0.7500 0.4188 0.4251
O: 0.2500 0.8838 0.5230
O: 0.2500 0.4734 0.2132
O: 0.7500 0.7068 0.3401
O: 0.2500 0.0812 0.9251
O: 0.2500 0.7932 0.8401
O: 0.7500 0.2068 0.1599
O: 0.7500 0.1162 0.4770
O: 0.2500 0.3838 0.9770
O: 0.2500 0.2932 0.6599
O: 0.7500 0.9188 0.0749
O: 0.7500 0.6162 0.0230
O: 0.7500 0.5266 0.7868
O: 0.2500 0.5812 0.5749
O: 0.2500 0.9734 0.2868


[5]
Crystalline CaNi2O4 at its relaxed geometry. Source: the Materials Project database, functional GGA+U.

Summary:
formation enthalpy at 0 K = -11.2 eV/f.u.
offset from the most stable computed form = 0.0625 eV/atom
space-group type = No. 141
energy = -5.2463 eV per atom
total moment = 0.286 μB per atom

Cell: 5.7906 5.7907 6.3871 Å, 116.96 116.95 90.01°
Atoms (fractional coordinates):
Ca: 0.3750 0.6250 0.7500
Ca: 0.6250 0.3750 0.2500
O: 0.7624 0.2279 0.9559
O: 0.1934 0.2279 0.9557
O: 0.2376 0.7721 0.0441
O: 0.7721 0.8066 0.5443
O: 0.2279 0.1934 0.4557
O: 0.7721 0.2376 0.5441
O: 0.8066 0.7721 0.0443
O: 0.2280 0.7624 0.4559
Ni: 0.5000 0.0000 0.5000
Ni: 0.9999 0.0000 0.9998
Ni: 0.0000 0.0000 0.5001
Ni: 0.0000 0.5000 0.0000


[6]
Crystalline CaNi2O4 at its relaxed geometry. Source: the Materials Project database, functional GGA+U.

Summary:
formation enthalpy at 0 K = -11.1 eV/f.u.
offset from the most stable computed form = 0.0779 eV/atom
space-group type = No. 1
energy = -5.2310 eV per atom
total moment = 0.333 μB per atom

Cell: 6.0931 6.1965 14.8544 Å, 91.91 89.75 119.27°
Atoms (fractional coordinates):
Ca: 0.5012 0.0030 0.0036
Ca: 0.1649 0.3308 0.2735
Ca: 0.5005 0.0028 0.3689
Ca: 0.8314 0.6635 0.7169
Ca: 0.5024 0.0001 0.6134
Ca: 0.8325 0.6665 0.9579
O: 0.8948 0.1877 0.5742
O: 0.0254 0.4616 0.7604
O: 0.3138 0.6102 0.5733
O: 0.6936 0.3995 0.4178
O: 0.9699 0.5363 0.2613
O: 0.9671 0.9338 0.2606
O: 0.1683 0.3341 0.9221
O: 0.1987 0.8501 0.8917
O: 0.3241 0.1741 0.1006
O: 0.8294 0.6564 0.1080
O: 0.3303 0.6610 0.0972
O: 0.1768 0.3622 0.4285
O: 0.8238 0.6362 0.5664
O: 0.4326 0.4592 0.7582
O: 0.5032 0.0086 0.2224
O: 0.7079 0.8268 0.4242
O: 0.0280 0.0539 0.7623
O: 0.6510 0.8494 0.8898
O: 0.2948 0.1790 0.5702
O: 0.4948 0.9938 0.7559
O: 0.5642 0.5415 0.2610
O: 0.6460 0.2950 0.8925
O: 0.8484 0.1722 0.0997
O: 0.1139 0.8192 0.4226
Ni: 0.3338 0.6693 0.8276
Ni: 0.1662 0.3275 0.6639
Ni: 0.0029 0.0040 0.4976
Ni: 0.1551 0.8244 0.1717
Ni: 0.8358 0.6760 0.3393
Ni: 0.4988 0.5001 0.4971
Ni: 0.3308 0.1617 0.8301
Ni: 0.1667 0.3336 0.0472
Ni: 0.8309 0.1624 0.8294
Ni: 0.0036 0.5012 0.4973
Ni: 0.6722 0.3456 0.1722
Ni: 0.6696 0.8254 0.1714


Number 1: energy with MP2020 corrections -25.98 eV/f.u.. Number 2: energy with MP2020 corrections -44.59 eV/f.u.. Number 3: energy with MP2020 corrections -79.83 eV/f.u.. Number 4: energy with MP2020 corrections -44.94 eV/f.u.. Number 5: energy with MP2020 corrections -44.55 eV/f.u.. Number 6: energy with MP2020 corrections -44.45 eV/f.u..